Record 1
DFT (PBE+U) results for an optimized crystal structure of RbBiMo2O8.

ρ ... 5.22 g/cm3
Magnetic moment ... 0.0 μB/f.u.
ΔE_f ... -2018 meV per atom
Volume ... 196 Å³/f.u.

Structure (POSCAR):
```
RbBiMo2O8
1.0
-11.4904 -4.3797 0.6268
-0.1489 -0.3769 -5.3630
4.2184 -11.0384 0.2010
Rb Bi Mo O
4 4 8 32
direct
0.3755 0.0167 0.6216
0.1245 0.5167 0.6216
0.8755 0.4833 0.3784
0.6245 0.9833 0.3784
0.8757 0.5090 0.8793
0.3757 0.9910 0.1207
0.1243 0.4910 0.1207
0.6243 0.0090 0.8793
0.1458 0.9958 0.3419
0.1131 0.0234 0.8874
0.8869 0.9766 0.1126
0.3869 0.5234 0.8874
0.8542 0.0042 0.6581
0.3542 0.4958 0.3419
0.6131 0.4766 0.1126
0.6458 0.5042 0.6581
0.8040 0.8446 0.0011
0.5403 0.7484 0.0508
0.9356 0.7577 0.7305
0.7099 0.6843 0.7778
0.0515 0.8155 0.4186
0.4356 0.7423 0.2695
0.6957 0.5776 0.2220
0.1957 0.9224 0.7780
0.5515 0.6845 0.5814
0.6960 0.3446 0.0011
0.0249 0.2590 0.8238
0.5644 0.2577 0.7305
0.4597 0.2516 0.9492
0.9751 0.7410 0.1762
0.4485 0.3155 0.4186
0.5249 0.2410 0.1762
0.3040 0.6554 0.9989
0.7736 0.8424 0.5603
0.2901 0.3157 0.2222
0.7901 0.1843 0.7778
0.7264 0.3424 0.5603
0.2736 0.6576 0.4397
0.9597 0.2484 0.0508
0.8043 0.0776 0.2220
0.1960 0.1554 0.9989
0.2264 0.1576 0.4397
0.3043 0.4224 0.7780
0.9485 0.1845 0.5814
0.4751 0.7590 0.8238
0.0644 0.2423 0.2695
0.2099 0.8157 0.2222
0.0403 0.7516 0.9492
```

***

Record 2
DFT (PBE+U) results for an optimized crystal structure of FeOF.

ρ ... 4.33 g/cm3
Magnetic moment ... 5.0 μB/f.u.
ΔE_f ... -2039 meV per atom
Volume ... 35 Å³/f.u.

Structure (POSCAR):
```
FeOF
1.0
3.1002 0.0000 0.0000
0.0000 14.1979 0.0000
0.0000 0.0519 14.2349
Fe O F
18 18 18
direct
0.0000 0.9861 0.9995
0.0000 0.9972 0.3395
0.0000 0.9919 0.6592
0.5000 0.8548 0.1728
0.5000 0.8465 0.4957
0.5000 0.8274 0.8506
0.0000 0.6665 0.0025
0.0000 0.6549 0.3306
0.0000 0.6542 0.6639
0.5000 0.5125 0.4969
0.5000 0.5140 0.1630
0.5000 0.4999 0.8170
0.0000 0.3198 0.9981
0.0000 0.3198 0.3316
0.0000 0.3324 0.6765
0.5000 0.1793 0.1653
0.5000 0.1669 0.4808
0.5000 0.1801 0.8316
0.5000 0.9379 0.2723
0.5000 0.9342 0.6060
0.5000 0.9354 0.9324
0.0000 0.8994 0.1028
0.0000 0.8952 0.4376
0.0000 0.7610 0.9034
0.5000 0.6019 0.2667
0.5000 0.6004 0.6033
0.0000 0.5682 0.0965
0.0000 0.5655 0.4354
0.0000 0.5682 0.7723
0.5000 0.3964 0.7301
0.5000 0.2698 0.2681
0.5000 0.2702 0.9337
0.0000 0.2319 0.1014
0.0000 0.2351 0.4368
0.0000 0.2264 0.7646
0.5000 0.0644 0.3989
0.0000 0.8951 0.7709
0.0000 0.7683 0.2351
0.0000 0.7664 0.5670
0.5000 0.7314 0.0684
0.5000 0.7364 0.7310
0.5000 0.7308 0.3988
0.5000 0.5987 0.9369
0.0000 0.4369 0.2293
0.0000 0.4310 0.5623
0.0000 0.4372 0.9014
0.5000 0.4006 0.0661
0.5000 0.4009 0.3977
0.5000 0.2674 0.6009
0.0000 0.1029 0.2277
0.0000 0.1027 0.5703
0.0000 0.1013 0.8996
0.5000 0.0657 0.0640
0.5000 0.0604 0.7351
```

***

Record 3
DFT (PBE+U) results for an optimized crystal structure of Li3Ni2SnO6.

ρ ... 5.02 g/cm3
Magnetic moment ... 1.0 μB/f.u.
ΔE_f ... -1786 meV per atom
Volume ... 117 Å³/f.u.

Structure (POSCAR):
```
Li3Ni2SnO6
1.0
-0.3283 6.0114 -0.7482
5.5803 3.0881 -2.2708
-3.4541 0.6294 -5.7105
Li Ni Sn O
6 4 2 12
direct
0.7510 0.8329 0.3340
0.2483 0.8340 0.3332
0.7552 0.4955 0.9799
0.2379 0.5334 0.9866
0.7621 0.1333 0.6799
0.2443 0.1717 0.6871
0.5108 0.9849 0.9922
0.4891 0.6818 0.6745
0.0062 0.9891 0.9940
0.9938 0.6773 0.6727
0.5002 0.3333 0.3333
0.0002 0.3333 0.3333
0.6510 0.2265 0.0080
0.1208 0.2220 0.0062
0.8792 0.4445 0.6604
0.3492 0.4400 0.6586
0.6496 0.8964 0.6694
0.1193 0.8959 0.6665
0.8807 0.7707 0.0001
0.3505 0.7702 0.9972
0.6312 0.5730 0.3317
0.1366 0.5663 0.3192
0.8637 0.1002 0.3475
0.3692 0.0936 0.3348
```

***

Record 4
DFT (PBE+U) results for an optimized crystal structure of SrCa7Mn6Cr2O24.

ρ ... 4.44 g/cm3
Magnetic moment ... 22.3 μB/f.u.
ΔE_f ... -2449 meV per atom
Volume ... 443 Å³/f.u.

Structure (POSCAR):
```
SrCa7Mn6Cr2O24
1.0
-0.3146 -7.2813 2.3100
3.9192 -2.1269 -6.1707
6.5221 0.9288 3.8158
Sr Ca Mn Cr O
1 7 6 2 24
direct
0.2500 0.2508 0.2508
0.2500 0.2507 0.7488
0.2500 0.7488 0.2507
0.2500 0.7492 0.7492
0.7500 0.2508 0.2508
0.7500 0.2512 0.7494
0.7500 0.7494 0.2512
0.7500 0.7489 0.7489
0.9996 0.9996 0.5003
0.9996 0.5003 0.9996
0.9996 0.5004 0.5004
0.5004 0.9996 0.5003
0.5004 0.5003 0.9996
0.5004 0.5004 0.5004
0.9996 0.9996 0.9996
0.5004 0.9996 0.9996
0.9973 0.9986 0.2501
0.0005 0.9992 0.7500
0.9978 0.5021 0.2499
0.0000 0.5002 0.7501
0.5027 0.9986 0.2501
0.4995 0.9992 0.7500
0.5022 0.5021 0.2499
0.5000 0.5002 0.7501
0.2500 0.9975 0.9975
0.2500 0.9977 0.5022
0.2500 0.5022 0.9977
0.2500 0.5022 0.5022
0.7500 0.0005 0.0005
0.7500 0.0001 0.5000
0.7500 0.5000 0.0001
0.7500 0.5001 0.5001
0.9973 0.2501 0.9986
0.9978 0.2499 0.5021
0.0005 0.7500 0.9992
0.0000 0.7501 0.5002
0.5027 0.2501 0.9986
0.5022 0.2499 0.5021
0.4995 0.7500 0.9992
0.5000 0.7501 0.5002
```

***

Record 5
DFT (PBE+U) results for an optimized crystal structure of Na2FeO3.

ρ ... 3.66 g/cm3
Magnetic moment ... 4.0 μB/f.u.
ΔE_f ... -1635 meV per atom
Volume ... 68 Å³/f.u.

Structure (POSCAR):
```
Na2FeO3
1.0
2.6815 4.6503 0.0004
-4.5315 4.6694 5.4572
3.5394 0.0039 5.4293
Na Fe O
8 4 12
direct
0.5049 0.4983 0.9995
0.9951 0.0017 0.5005
0.9998 0.9996 0.0001
0.5002 0.5004 0.4999
0.9892 0.3302 0.1703
0.4833 0.8312 0.6712
0.0166 0.6688 0.8288
0.5108 0.1698 0.3297
0.5002 0.8330 0.1664
0.9998 0.6671 0.3336
0.0007 0.3337 0.6667
0.4992 0.1663 0.8333
0.2652 0.7444 0.0482
0.7414 0.2423 0.5544
0.7586 0.2578 0.9456
0.2348 0.7555 0.4519
0.2602 0.3735 0.8286
0.7358 0.8796 0.3250
0.8149 0.5569 0.6450
0.3143 0.0739 0.1261
0.7643 0.6204 0.1751
0.2398 0.1264 0.6713
0.1857 0.4261 0.3739
0.6851 0.9431 0.8550
```

***

Record 6
DFT (PBE+U) results for an optimized crystal structure of MgCoBiO3.

ρ ... 5.95 g/cm3
Magnetic moment ... 2.9 μB/f.u.
ΔE_f ... -1394 meV per atom
Volume ... 95 Å³/f.u.

Structure (POSCAR):
```
MgCoBiO3
1.0
4.0649 0.0000 0.0000
0.0000 3.5290 0.0000
0.0000 0.0000 6.6180
Mg Co Bi O
1 1 1 3
direct
0.0000 0.5000 0.3288
0.5000 0.5000 0.6076
0.0000 0.0000 0.9056
0.5000 0.0000 0.7620
0.5000 0.5000 0.3134
0.0000 0.5000 0.6362
```